Record 1
# r²SCAN Y2TlHg, relaxed
# ΔE_f = -2.13 eV per formula unit
# magnetization = 0.698 Bohr magnetons per cell
data_Y2TlHg
_chemical_formula_sum 'Y2 Tl1 Hg1'
_cell_length_a 5.289
_cell_length_b 5.289
_cell_length_c 5.289
_cell_angle_alpha 60.00
_cell_angle_beta 60.00
_cell_angle_gamma 60.00
_space_group_name_H-M_alt 'P 1'
_space_group_IT_number 1
_space_group_name_Hall 'P 1'
loop_
_atom_site_label
_atom_site_type_symbol
_atom_site_fract_x
_atom_site_fract_y
_atom_site_fract_z
Y1 Y 0.750 0.750 0.750
Y2 Y 0.250 0.250 0.250
Hg1 Hg 0.500 0.500 0.500
Tl1 Tl 0.000 0.000 0.000

Record 2
# r²SCAN YbTlHg2, relaxed
# ΔE_f = -0.96 eV per formula unit
# magnetization = 0.000 Bohr magnetons per cell
data_YbTlHg2
_chemical_formula_sum 'Yb1 Tl1 Hg2'
_cell_length_a 5.141
_cell_length_b 5.141
_cell_length_c 5.141
_cell_angle_alpha 60.00
_cell_angle_beta 60.00
_cell_angle_gamma 60.00
_space_group_name_H-M_alt 'P 1'
_space_group_IT_number 1
_space_group_name_Hall 'P 1'
loop_
_atom_site_label
_atom_site_type_symbol
_atom_site_fract_x
_atom_site_fract_y
_atom_site_fract_z
Hg1 Hg 0.250 0.250 0.250
Hg2 Hg 0.750 0.750 0.750
Tl1 Tl 0.500 0.500 0.500
Yb1 Yb 0.000 0.000 0.000

Record 3
# r²SCAN Yb2TlHg, relaxed
# ΔE_f = -1.89 eV per formula unit
# magnetization = 0.000 Bohr magnetons per cell
data_Yb2TlHg
_chemical_formula_sum 'Yb2 Tl1 Hg1'
_cell_length_a 5.188
_cell_length_b 5.188
_cell_length_c 5.188
_cell_angle_alpha 60.00
_cell_angle_beta 60.00
_cell_angle_gamma 60.00
_space_group_name_H-M_alt 'P 1'
_space_group_IT_number 1
_space_group_name_Hall 'P 1'
loop_
_atom_site_label
_atom_site_type_symbol
_atom_site_fract_x
_atom_site_fract_y
_atom_site_fract_z
Yb1 Yb 0.750 0.750 0.750
Yb2 Yb 0.250 0.250 0.250
Tl1 Tl 0.000 0.000 0.000
Hg1 Hg 0.500 0.500 0.500

Record 4
# r²SCAN YbTmHg2, relaxed
# ΔE_f = -2.28 eV per formula unit
# magnetization = 0.000 Bohr magnetons per cell
data_YbTmHg2
_chemical_formula_sum 'Yb1 Tm1 Hg2'
_cell_length_a 5.139
_cell_length_b 5.139
_cell_length_c 5.139
_cell_angle_alpha 60.00
_cell_angle_beta 60.00
_cell_angle_gamma 60.00
_space_group_name_H-M_alt 'P 1'
_space_group_IT_number 1
_space_group_name_Hall 'P 1'
loop_
_atom_site_label
_atom_site_type_symbol
_atom_site_fract_x
_atom_site_fract_y
_atom_site_fract_z
Tm1 Tm 0.500 0.500 0.500
Yb1 Yb 0.000 0.000 0.000
Hg1 Hg 0.750 0.750 0.750
Hg2 Hg 0.250 0.250 0.250

Record 5
# r²SCAN Tm2ZnHg, relaxed
# ΔE_f = -1.89 eV per formula unit
# magnetization = 0.000 Bohr magnetons per cell
data_Tm2ZnHg
_chemical_formula_sum 'Tm2 Zn1 Hg1'
_cell_length_a 5.050
_cell_length_b 5.050
_cell_length_c 5.050
_cell_angle_alpha 60.05
_cell_angle_beta 60.05
_cell_angle_gamma 60.05
_space_group_name_H-M_alt 'P 1'
_space_group_IT_number 1
_space_group_name_Hall 'P 1'
loop_
_atom_site_label
_atom_site_type_symbol
_atom_site_fract_x
_atom_site_fract_y
_atom_site_fract_z
Hg1 Hg 0.250 0.250 0.250
Tm1 Tm 0.000 0.000 0.000
Tm2 Tm 0.500 0.500 0.500
Zn1 Zn 0.750 0.750 0.750

Record 6
# r²SCAN YHg, relaxed
# ΔE_f = -1.17 eV per formula unit
# magnetization = 0.000 Bohr magnetons per cell
data_YHg
_chemical_formula_sum 'Y1 Hg1'
_cell_length_a 3.706
_cell_length_b 3.706
_cell_length_c 3.706
_cell_angle_alpha 90.00
_cell_angle_beta 90.00
_cell_angle_gamma 90.00
_space_group_name_H-M_alt 'P 1'
_space_group_IT_number 1
_space_group_name_Hall 'P 1'
loop_
_atom_site_label
_atom_site_type_symbol
_atom_site_fract_x
_atom_site_fract_y
_atom_site_fract_z
Hg1 Hg 0.000 0.000 0.000
Y1 Y 0.500 0.500 0.500

Record 7
# r²SCAN YHg2, relaxed
# ΔE_f = -1.42 eV per formula unit
# magnetization = 0.001 Bohr magnetons per cell
data_YHg2
_chemical_formula_sum 'Y1 Hg2'
_cell_length_a 4.882
_cell_length_b 4.882
_cell_length_c 3.492
_cell_angle_alpha 90.00
_cell_angle_beta 90.00
_cell_angle_gamma 120.00
_space_group_name_H-M_alt 'P 1'
_space_group_IT_number 1
_space_group_name_Hall 'P 1'
loop_
_atom_site_label
_atom_site_type_symbol
_atom_site_fract_x
_atom_site_fract_y
_atom_site_fract_z
Hg1 Hg 0.667 0.333 0.500
Hg2 Hg 0.333 0.667 0.500
Y1 Y 0.000 0.000 0.000

Record 8
# r²SCAN YbYHg2, relaxed
# ΔE_f = -2.31 eV per formula unit
# magnetization = 0.000 Bohr magnetons per cell
data_YbYHg2
_chemical_formula_sum 'Yb1 Y1 Hg2'
_cell_length_a 5.183
_cell_length_b 5.183
_cell_length_c 5.183
_cell_angle_alpha 60.00
_cell_angle_beta 60.00
_cell_angle_gamma 60.00
_space_group_name_H-M_alt 'P 1'
_space_group_IT_number 1
_space_group_name_Hall 'P 1'
loop_
_atom_site_label
_atom_site_type_symbol
_atom_site_fract_x
_atom_site_fract_y
_atom_site_fract_z
Y1 Y 0.500 0.500 0.500
Yb1 Yb 0.000 0.000 0.000
Hg1 Hg 0.750 0.750 0.750
Hg2 Hg 0.250 0.250 0.250